1.
Below is an optimized crystal structure of Lu6GaNi2, with properties calculated at the PBE-GGA level.

## Properties
- crystal system = orthorhombic
- energy of formation from the pure elements (eV/atom) = -0.412

Lattice parameters (Å, degrees): 8.1229 8.1229 8.1229 111.85 110.03 106.58
Closest atoms and distances in Å follow each position.
Fractional positions:
Lu 0.4357 0.2368 0.1989  1 Ni 2.71, 1 Ga 2.95
Lu 0.5643 0.7632 0.8011  1 Ni 2.71, 1 Ga 2.95
Lu 0.0378 0.2368 0.8011  1 Ni 2.71, 1 Ga 2.95
Lu 0.9622 0.7632 0.1989  1 Ni 2.71, 1 Ga 2.95
Lu 0.1807 0.2829 0.4636  3 Ni 2.86-3.03, 1 Ga 3.08
Lu 0.8193 0.7171 0.5364  3 Ni 2.86-3.03, 1 Ga 3.08
Lu 0.1807 0.7171 0.8978  3 Ni 2.86-3.03, 1 Ga 3.08
Lu 0.8193 0.2829 0.1022  3 Ni 2.86-3.03, 1 Ga 3.08
Lu 0.3259 0.6278 0.3019  3 Ni 2.67-2.83
Lu 0.6741 0.3722 0.6981  3 Ni 2.67-2.83
Lu 0.3259 0.0240 0.6981  3 Ni 2.67-2.83
Lu 0.6741 0.9760 0.3019  3 Ni 2.67-2.83
Ga 0.5000 0.5000 0.0000  8 Lu 3.16-3.23
Ga 0.0000 0.0000 0.0000  8 Lu 2.95-3.08, 2 Ni 3.28
Ni 0.3524 0.0000 0.3524  8 Lu 2.71-3.03, 1 Ni 2.75
Ni 0.6476 0.0000 0.6476  8 Lu 2.71-3.03, 1 Ni 2.75
Ni 0.1236 0.6236 0.5000  1 Ni 2.40, 2 Lu 2.67
Ni 0.8764 0.3764 0.5000  1 Ni 2.40, 2 Lu 2.67

***

2.
Below is an optimized crystal structure of LuGa2Ni, with properties calculated at the PBE-GGA level.

## Properties
- crystal system = orthorhombic
- energy of formation from the pure elements (eV/atom) = -0.654
- magnetic moment (μB/f.u.) = 0.00

Lattice parameters (Å, degrees): 5.3345 5.3345 6.5861 90.00 90.00 134.57
Closest atoms and distances in Å follow each position.
Fractional positions:
Lu 0.5751 0.4249 0.2500  3 Ni 2.79-2.97, 6 Ga 2.93-3.10
Lu 0.4249 0.5751 0.7500  3 Ni 2.79-2.97, 6 Ga 2.93-3.10
Ga 0.8607 0.1393 0.0526  3 Ni 2.50-2.53, 1 Ga 2.60
Ga 0.1393 0.8607 0.9474  3 Ni 2.50-2.53, 1 Ga 2.60
Ga 0.1393 0.8607 0.5526  3 Ni 2.50-2.53, 1 Ga 2.60
Ga 0.8607 0.1393 0.4474  3 Ni 2.50-2.53, 1 Ga 2.60
Ni 0.2921 0.7079 0.2500  6 Ga 2.50-2.53, 1 Lu 2.79
Ni 0.7079 0.2921 0.7500  6 Ga 2.50-2.53, 1 Lu 2.79

***

3.
Below is an optimized crystal structure of Lu3Ga10Ni, with properties calculated at the PBE-GGA level.

## Properties
- crystal system = monoclinic
- energy of formation from the pure elements (eV/atom) = -0.445
- magnetic moment (μB/f.u.) = 0.00

Lattice parameters (Å, degrees): 8.0839 8.0839 9.8652 54.19 54.19 29.83
Closest atoms and distances in Å follow each position.
Fractional positions:
Lu 0.6822 0.6822 0.3281  13 Ga 3.03-3.23
Lu 0.3153 0.3153 0.6864  11 Ga 3.03-3.19, 2 Ni 3.15
Lu 0.0031 0.0031 0.9919  9 Ga 2.99-3.24, 2 Ni 3.11
Ga 0.8347 0.8347 0.4465  1 Ni 2.41, 2 Ga 2.61
Ga 0.1554 0.1554 0.5867  2 Ni 2.41, 1 Ga 2.68
Ga 0.8484 0.8484 0.8756  5 Ga 2.56-2.85
Ga 0.1509 0.1509 0.1203  5 Ga 2.58-2.78
Ga 0.9998 0.9998 0.5009  8 Ga 2.92-3.02, 4 Lu 3.08-3.10
Ga 0.5040 0.5040 0.7089  1 Ni 2.37, 1 Ga 2.60
Ga 0.5046 0.5046 0.2888  4 Ga 2.55-2.78
Ga 0.3463 0.3463 0.2771  5 Ga 2.44-2.68
Ga 0.6563 0.6563 0.9467  1 Ni 2.34
Ga 0.3438 0.3438 0.0316  5 Ga 2.44-2.60
Ni 0.6553 0.6553 0.7105  5 Ga 2.34-2.41

***

4.
Below is an optimized crystal structure of Lu4Ga12Ni, with properties calculated at the PBE-GGA level.

## Properties
- crystal system = cubic
- energy of formation from the pure elements (eV/atom) = -0.522

Lattice parameters (Å, degrees): 7.3843 7.3843 7.3843 109.47 109.47 109.47
Closest atoms and distances in Å follow each position.
Fractional positions:
Lu 0.0000 0.0000 0.5000  12 Ga 3.01-3.03
Lu 0.0000 0.5000 0.0000  12 Ga 3.01-3.03
Lu 0.5000 0.0000 0.0000  12 Ga 3.01-3.03
Lu 0.5000 0.5000 0.5000  12 Ga 3.01-3.03
Ga 0.7500 0.2500 0.5000  8 Ga 2.79-3.01, 4 Lu 3.01
Ga 0.7500 0.5000 0.2500  8 Ga 2.79-3.01, 4 Lu 3.01
Ga 0.5000 0.2500 0.7500  8 Ga 2.79-3.01, 4 Lu 3.01
Ga 0.2500 0.5000 0.7500  8 Ga 2.79-3.01, 4 Lu 3.01
Ga 0.2500 0.7500 0.5000  8 Ga 2.79-3.01, 4 Lu 3.01
Ga 0.5000 0.7500 0.2500  8 Ga 2.79-3.01, 4 Lu 3.01
Ga 0.7114 0.7114 0.0000  1 Ni 2.46
Ga 0.2886 0.0000 0.2886  1 Ni 2.46
Ga 0.0000 0.2886 0.2886  1 Ni 2.46
Ga 0.2886 0.2886 0.0000  1 Ni 2.46
Ga 0.7114 0.0000 0.7114  1 Ni 2.46
Ga 0.0000 0.7114 0.7114  1 Ni 2.46
Ni 0.0000 0.0000 0.0000  6 Ga 2.46

***

energy of formation from the pure elements of number 2 (LuGa2Ni)? -0.654 eV/atom

***

Among the records above, which one has the highest energy of formation from the pure elements? Lu6GaNi2